No. 1
The following is a PBE calculation of an optimized crystal structure of BaCaI4, from Materials Project.

Properties
Space group: C2/m (12)
Mass density: 3320 kg/m³
Size of the total moment: 0.00 μB/f.u.
Energy relative to the elements: -1.88 eV/atom

The structure in POSCAR format:
```
BaCaI4
1.0
5.535 -8.816 -2.542
9.702 4.509 0.603
6.148 -4.500 10.922
Ba Ca I
4 4 16
direct
0.700 0.700 0.145
0.701 0.299 0.500
0.299 0.701 0.500
0.300 0.300 0.855
0.683 0.683 0.659
0.682 0.318 0.000
0.318 0.682 0.000
0.317 0.317 0.341
0.664 0.976 0.588
0.976 0.664 0.588
0.338 0.976 0.924
0.976 0.338 0.924
0.643 0.643 0.919
0.653 0.653 0.431
0.359 0.654 0.756
0.654 0.359 0.756
0.641 0.346 0.244
0.346 0.641 0.244
0.347 0.347 0.569
0.357 0.357 0.081
0.662 0.024 0.076
0.024 0.662 0.076
0.336 0.024 0.412
0.024 0.336 0.412
```

---

No. 2
The following is a PBE calculation of an optimized crystal structure of Ba2CaI6, from Materials Project.

Properties
Space group: P321 (150)
Mass density: 3843 kg/m³
Size of the total moment: 0.00 μB/f.u.
Energy relative to the elements: -1.97 eV/atom

The structure in POSCAR format:
```
Ba2CaI6
1.0
-11.766 4.503 -6.855
0.858 1.127 14.272
3.165 7.123 -0.753
Ba Ca I
6 3 18
direct
0.000 0.637 0.000
0.000 0.305 0.500
0.363 0.363 0.000
0.305 0.000 0.500
0.695 0.695 0.500
0.637 0.000 0.000
0.333 0.667 0.492
0.000 0.000 0.000
0.667 0.333 0.508
0.085 0.876 0.771
0.234 0.773 0.252
0.131 0.543 0.736
0.412 0.869 0.736
0.227 0.461 0.252
0.124 0.209 0.771
0.539 0.766 0.252
0.209 0.124 0.229
0.457 0.588 0.736
0.791 0.915 0.771
0.461 0.227 0.748
0.588 0.457 0.264
0.543 0.131 0.264
0.766 0.539 0.748
0.915 0.791 0.229
0.773 0.234 0.748
0.869 0.412 0.264
0.876 0.085 0.229
```

---

| no. | total energy after the MP2020 corrections (eV per atom) |
| --- | --- |
| 1 | -3.5456 |
| 2 | -3.6355 |